No. 1
HoAl8Cu4: relaxed, meta-GGA r2SCAN.

Computed properties:
E_tot in eV/cell: -134.59
Formation energy from the elements in eV per formula unit: -4.46
Spin magnetization in μB per formula unit: 0.00

Unit cell a=6.6714 b=6.6714 c=6.6714 alpha=98.32 beta=98.32 gamma=135.28
Sites, in units of the cell vectors:
Ho 0.0000 0.0000 0.0000
Al 0.0000 0.3483 0.3483
Al 0.0000 0.6517 0.6517
Al 0.2813 0.5000 0.7813
Al 0.3483 0.0000 0.3483
Al 0.5000 0.2813 0.7813
Al 0.5000 0.7187 0.2187
Al 0.6517 0.0000 0.6517
Al 0.7187 0.5000 0.2187
Cu 0.0000 0.0000 0.5000
Cu 0.0000 0.5000 0.0000
Cu 0.5000 0.0000 0.0000
Cu 0.5000 0.5000 0.5000



No. 2
HoAl3Cu: relaxed, meta-GGA r2SCAN.

Computed properties:
E_tot in eV/cell: -66.32
Formation energy from the elements in eV per formula unit: -2.40
Spin magnetization in μB per formula unit: 0.00

Unit cell a=6.0486 b=6.0486 c=6.0486 alpha=140.41 beta=140.41 gamma=57.23
Sites, in units of the cell vectors:
Ho 0.0000 0.0000 0.0000
Al 0.2467 0.7467 0.5000
Al 0.4061 0.4061 0.0000
Al 0.7467 0.2467 0.5000
Cu 0.6246 0.6246 0.0000



No. 3
HoAl6Cu6: relaxed, meta-GGA r2SCAN.

Computed properties:
E_tot in eV/cell: -143.45
Formation energy from the elements in eV per formula unit: -5.10
Spin magnetization in μB per formula unit: 0.00

Unit cell a=6.5729 b=6.5729 c=6.5729 alpha=135.54 beta=99.08 gamma=97.38
Sites, in units of the cell vectors:
Ho 0.0000 0.0000 0.0000
Al 0.2017 0.7017 0.5000
Al 0.3459 0.0000 0.3459
Al 0.3489 0.3489 0.0000
Al 0.6511 0.6511 0.0000
Al 0.6541 0.0000 0.6541
Al 0.7983 0.2983 0.5000
Cu 0.0000 0.0000 0.5000
Cu 0.0000 0.5000 0.0000
Cu 0.2303 0.5000 0.7303
Cu 0.5000 0.0000 0.0000
Cu 0.5000 0.5000 0.5000
Cu 0.7697 0.5000 0.2697



No. 4
LaAl3Cu: relaxed, meta-GGA r2SCAN.

Computed properties:
E_tot in eV/cell: -63.39
Formation energy from the elements in eV per formula unit: -2.60
Spin magnetization in μB per formula unit: 0.00

Unit cell a=6.1329 b=6.1329 c=6.1329 alpha=139.16 beta=139.16 gamma=59.14
Sites, in units of the cell vectors:
La 0.0000 0.0000 0.0000
Al 0.2494 0.7494 0.5000
Al 0.4057 0.4057 0.0000
Al 0.7494 0.2494 0.5000
Cu 0.6336 0.6336 0.0000



No. 5
LaAl2Cu3: relaxed, meta-GGA r2SCAN.

Computed properties:
E_tot in eV/cell: -78.18
Formation energy from the elements in eV per formula unit: -2.43
Spin magnetization in μB per formula unit: 0.00

Unit cell a=5.2445 b=5.2445 c=4.1634 alpha=90.00 beta=90.00 gamma=118.46
Sites, in units of the cell vectors:
La 0.0000 0.0000 0.0000
Al 0.0000 0.5000 0.5000
Al 0.5000 0.0000 0.5000
Cu 0.3389 0.6611 0.0000
Cu 0.5000 0.5000 0.5000
Cu 0.6611 0.3389 0.0000



No. 6
La2Al3Cu7: relaxed, meta-GGA r2SCAN.

Computed properties:
E_tot in eV/cell: -159.76
Formation energy from the elements in eV per formula unit: -4.14
Spin magnetization in μB per formula unit: 0.00

Unit cell a=5.2594 b=4.1713 c=9.0066 alpha=90.00 beta=90.57 gamma=90.00
Sites, in units of the cell vectors:
La 0.2468 0.0000 0.2520
La 0.7532 0.0000 0.7480
Al 0.0000 0.5000 0.0000
Al 0.2620 0.5000 0.7441
Al 0.7380 0.5000 0.2559
Cu 0.0000 0.5000 0.5000
Cu 0.2484 0.0000 0.5819
Cu 0.2555 0.0000 0.9172
Cu 0.5000 0.5000 0.0000
Cu 0.5000 0.5000 0.5000
Cu 0.7445 0.0000 0.0828
Cu 0.7516 0.0000 0.4181



No. 7
LiAl2Cu: relaxed, meta-GGA r2SCAN.

Computed properties:
E_tot in eV/cell: -27.54
Formation energy from the elements in eV per formula unit: -0.84
Spin magnetization in μB per formula unit: 0.00

Unit cell a=4.2259 b=4.2259 c=4.2259 alpha=60.00 beta=60.00 gamma=60.00
Sites, in units of the cell vectors:
Li 0.0000 0.0000 0.0000
Al 0.2500 0.2500 0.2500
Al 0.7500 0.7500 0.7500
Cu 0.5000 0.5000 0.5000



No. 8
LiAlCu2: relaxed, meta-GGA r2SCAN.

Computed properties:
E_tot in eV/cell: -31.68
Formation energy from the elements in eV per formula unit: -0.87
Spin magnetization in μB per formula unit: 0.00

Unit cell a=4.1195 b=4.1195 c=4.1195 alpha=60.00 beta=60.00 gamma=60.00
Sites, in units of the cell vectors:
Li 0.0000 0.0000 0.0000
Al 0.5000 0.5000 0.5000
Cu 0.2500 0.2500 0.2500
Cu 0.7500 0.7500 0.7500